No. 1
Material: NiPb2WO6
Method: DFT, PBE+U
State: relaxed

Summary:
The spin magnetization is 0.00 μB/f.u. The value obtained for the formation energy is -1.7315 eV per atom.

```
data_NiPb2WO6
_chemical_formula_sum 'Ni2 Pb4 W2 O12'
_cell_length_a 5.705
_cell_length_b 5.705
_cell_length_c 9.882
_cell_angle_alpha 73.22
_cell_angle_beta 90.00
_cell_angle_gamma 120.00
_space_group_name_H-M_alt 'P 1'
_space_group_IT_number 1
loop_
_space_group_symop_operation_xyz
'x,y,z'
loop_
_atom_site_label
_atom_site_fract_x
_atom_site_fract_y
_atom_site_fract_z
O1 0.879 0.242 0.879
O2 0.637 0.758 0.121
O3 0.379 0.758 0.379
O4 0.363 0.242 0.879
O5 0.863 0.242 0.379
O6 0.121 0.758 0.121
O7 0.137 0.758 0.621
O8 0.379 0.242 0.379
O9 0.121 0.242 0.121
O10 0.621 0.758 0.621
O11 0.879 0.758 0.879
O12 0.621 0.242 0.621
Ni1 0.750 0.500 0.750
Ni2 0.250 0.500 0.250
Pb1 0.875 0.750 0.375
Pb2 0.125 0.250 0.625
Pb3 0.625 0.250 0.125
Pb4 0.375 0.750 0.875
W1 0.500 0.000 0.500
W2 0.000 0.000 0.000
```


No. 2
Material: Li4Mn3Nb2Cr3O16
Method: DFT, PBE+U
State: relaxed

Summary:
The spin magnetization is 21.00 μB/f.u. The value obtained for the formation energy is -2.4682 eV per atom. As for the space group: Cm, No. 8.

```
data_Li4Mn3Nb2Cr3O16
_chemical_formula_sum 'Li4 Mn3 Nb2 Cr3 O16'
_cell_length_a 6.009
_cell_length_b 6.009
_cell_length_c 9.770
_cell_angle_alpha 92.16
_cell_angle_beta 92.16
_cell_angle_gamma 59.11
_space_group_name_H-M_alt 'P 1'
_space_group_IT_number 1
loop_
_space_group_symop_operation_xyz
'x,y,z'
loop_
_atom_site_label
_atom_site_fract_x
_atom_site_fract_y
_atom_site_fract_z
Li1 0.000 0.000 0.000
Li2 0.005 0.005 0.500
Li3 0.342 0.342 0.585
Li4 0.670 0.670 0.090
Mn1 0.172 0.172 0.278
Mn2 0.341 0.833 0.776
Mn3 0.833 0.341 0.776
Nb1 0.335 0.335 0.002
Nb2 0.682 0.682 0.497
Cr1 0.172 0.663 0.275
Cr2 0.663 0.172 0.275
Cr3 0.832 0.832 0.775
O1 0.000 0.000 0.687
O2 0.006 0.006 0.186
O3 0.038 0.488 0.146
O4 0.157 0.659 0.902
O5 0.162 0.162 0.897
O6 0.333 0.333 0.377
O7 0.338 0.828 0.402
O8 0.482 0.482 0.152
O9 0.488 0.038 0.146
O10 0.525 0.525 0.652
O11 0.533 0.971 0.641
O12 0.659 0.157 0.902
O13 0.669 0.669 0.876
O14 0.828 0.338 0.402
O15 0.838 0.838 0.390
O16 0.971 0.533 0.641
```


No. 3
Material: BaNdMgCo2O6
Method: DFT, PBE+U
State: relaxed

Summary:
The spin magnetization is 5.82 μB/f.u. The value obtained for the formation energy is -1.9117 eV per atom. As for the space group: Pmmm, No. 47.

```
data_BaNdMgCo2O6
_chemical_formula_sum 'Ba1 Nd1 Mg1 Co2 O6'
_cell_length_a 3.795
_cell_length_b 5.446
_cell_length_c 7.769
_cell_angle_alpha 90.00
_cell_angle_beta 90.00
_cell_angle_gamma 90.00
_space_group_name_H-M_alt 'P 1'
_space_group_IT_number 1
loop_
_space_group_symop_operation_xyz
'x,y,z'
loop_
_atom_site_label
_atom_site_fract_x
_atom_site_fract_y
_atom_site_fract_z
Ba1 0.000 0.000 0.000
Nd1 0.000 0.000 0.500
Mg1 0.000 0.500 0.000
Co1 0.500 0.500 0.270
Co2 0.500 0.500 0.730
O1 0.000 0.500 0.243
O2 0.000 0.500 0.757
O3 0.500 0.000 0.288
O4 0.500 0.000 0.712
O5 0.500 0.500 0.000
O6 0.500 0.500 0.500
```